# Sr2AlCr2GaO7

A relaxed structure of Sr2AlCr2GaO7 (PBE with a Hubbard U, the Materials Project database).

Summary:
The calculation puts the mass density at 4.56 g/cm³. For the size of the total moment, the calculation gives 15.997 μB/cell. As for the formation energy: -2.59 eV per atom.

Unit cell a=5.4701 b=5.8785 c=11.5058 alpha=80.92 beta=76.84 gamma=89.93
Space group P1 (No. 1)
Unique sites:
Sr  0.0000  0.0000  0.0000
Sr  0.1701  0.1229  0.5992
Sr  0.4978  0.4420  0.9950
Sr  0.6828  0.5678  0.6014
Al  0.3097  0.3806  0.2948
Al  0.8490  0.8530  0.3040
Cr  0.2547  0.6607  0.4487
Cr  0.3997  0.9119  0.1825
Cr  0.7485  0.1583  0.4434
Cr  0.8872  0.4100  0.1812
Ga  0.1112  0.6053  0.8025
Ga  0.6124  0.9619  0.8020
O  0.0066  0.4348  0.4051
O  0.0341  0.9304  0.4125
O  0.0618  0.7278  0.1889
O  0.1162  0.5203  0.6538
O  0.2210  0.2314  0.1866
O  0.4550  0.3552  0.4233
O  0.4574  0.6717  0.7988
O  0.4830  0.0396  0.9527
O  0.5499  0.5835  0.1901
O  0.5739  0.8418  0.4321
O  0.6221  0.1412  0.6534
O  0.7258  0.0755  0.1998
O  0.9569  0.8958  0.8017
O  0.9841  0.4288  0.9523

***

# K5AlCr4Mo10O40

A relaxed structure of K5AlCr4Mo10O40 (PBE with a Hubbard U, the Materials Project database).

Summary:
The calculation puts the mass density at 3.26 g/cm³. For the size of the total moment, the calculation gives 24.008 μB/cell. As for the formation energy: -2.19 eV per atom.

Unit cell a=5.7664 b=9.3910 c=40.4179 alpha=83.78 beta=90.00 gamma=72.16
Space group P-1 (No. 2)
Unique sites:
K  0.0371  0.3000  0.1500
K  0.1626  0.3003  0.6500
K  0.2371  0.9000  0.9500
K  0.3625  0.9003  0.4500
K  0.4371  0.5000  0.7500
Al  0.1000  0.3000  0.4000
Cr  0.1000  0.3001  0.9000
Cr  0.3000  0.9000  0.2000
Cr  0.3003  0.8999  0.6999
Cr  0.5000  0.5000  0.0000
Cr  0.5000  0.5000  0.5000
Mo  0.0306  0.3958  0.5473
Mo  0.0752  0.3929  0.0469
Mo  0.1248  0.2071  0.7531
Mo  0.1679  0.2072  0.2531
Mo  0.2306  0.9958  0.3473
Mo  0.2752  0.9928  0.8469
Mo  0.3248  0.8066  0.5538
Mo  0.3680  0.8072  0.0531
Mo  0.4320  0.5928  0.1469
Mo  0.4752  0.5933  0.6462
O  0.0086  0.4306  0.9361
O  0.0235  0.8386  0.5720
O  0.0297  0.0449  0.6709
O  0.0439  0.3531  0.2214
O  0.0439  0.9884  0.8165
O  0.0601  0.4287  0.4348
O  0.0678  0.7884  0.7165
O  0.0970  0.2469  0.0786
O  0.1030  0.3531  0.7214
O  0.1323  0.8116  0.0835
O  0.1398  0.1713  0.3652
O  0.1554  0.2477  0.5785
O  0.1561  0.6117  0.9835
O  0.1695  0.5543  0.1290
O  0.1762  0.7543  0.2290
O  0.1914  0.1695  0.8638
O  0.2087  0.0305  0.7361
O  0.2235  0.4386  0.3720
O  0.2297  0.6448  0.4709
O  0.2353  0.5925  0.6165
O  0.2439  0.9531  0.0214
O  0.2608  0.0306  0.2362
O  0.2664  0.3890  0.5167
O  0.2970  0.8469  0.8786
O  0.3023  0.9521  0.5218
O  0.3323  0.4117  0.8835
O  0.3392  0.7694  0.1638
O  0.3554  0.8477  0.3785
O  0.3560  0.2117  0.7835
O  0.3694  0.1544  0.9289
O  0.3762  0.3543  0.0289
O  0.3917  0.7683  0.6638
O  0.4084  0.6317  0.5362
O  0.4238  0.0457  0.1711
O  0.4306  0.2456  0.2711
O  0.4353  0.1925  0.4166
O  0.4439  0.5531  0.8214
O  0.4608  0.6306  0.0362
O  0.4663  0.9889  0.3167
O  0.4977  0.4479  0.6782

***

# Li6AlCrO6

A relaxed structure of Li6AlCrO6 (PBE with a Hubbard U, the Materials Project database).

Summary:
The calculation puts the mass density at 2.94 g/cm³. For the size of the total moment, the calculation gives 6.003 μB/cell. As for the formation energy: -2.36 eV per atom.

Unit cell a=5.3850 b=5.3850 c=9.7325 alpha=90.00 beta=90.00 gamma=120.00
Space group P-31c (No. 163)
Unique sites:
Li  0.0626  0.3788  0.0770
Al  0.3333  0.6667  0.7500
Cr  0.0000  0.0000  0.2500
O  0.0534  0.3485  0.8655